# 1
The following is a DFT calculation (GGA-PBE) of a geometry-optimized CaH8Br2O12 structure.

abc: 5.6906 8.1681 12.1323
angles: 80.84 89.75 89.36
Positions (direct):
Ca  0.0172  0.2314  0.2428
Ca  0.9828  0.7686  0.7572
H  0.1777  0.5117  0.6261
H  0.1995  0.9094  0.1888
H  0.2890  0.6750  0.5668
H  0.2986  0.5412  0.2063
H  0.3060  0.8131  0.9437
H  0.3110  0.9245  0.3037
H  0.3935  0.9443  0.8436
H  0.4567  0.4212  0.2908
H  0.5433  0.5788  0.7092
H  0.6065  0.0557  0.1564
H  0.6890  0.0755  0.6963
H  0.6940  0.1869  0.0563
H  0.7014  0.4588  0.7937
H  0.7110  0.3250  0.4332
H  0.8005  0.0906  0.8112
H  0.8223  0.4883  0.3739
Br  0.1615  0.3208  0.9156
Br  0.2592  0.1699  0.5575
Br  0.7408  0.8301  0.4425
Br  0.8385  0.6792  0.0844
O  0.0567  0.3013  0.5894
O  0.1102  0.7387  0.1093
O  0.1646  0.5257  0.8915
O  0.2268  0.1383  0.4276
O  0.2354  0.2544  0.0464
O  0.2416  0.9906  0.6404
O  0.2435  0.6172  0.6412
O  0.2614  0.8733  0.8708
O  0.2637  0.9908  0.2323
O  0.2976  0.4364  0.2584
O  0.3537  0.2479  0.8342
O  0.4751  0.7555  0.4284
O  0.5249  0.2445  0.5716
O  0.6463  0.7521  0.1658
O  0.7024  0.5636  0.7416
O  0.7363  0.0092  0.7677
O  0.7386  0.1267  0.1292
O  0.7565  0.3828  0.3588
O  0.7584  0.0094  0.3596
O  0.7646  0.7456  0.9536
O  0.7732  0.8617  0.5724
O  0.8354  0.4743  0.1085
O  0.8898  0.2613  0.8907
O  0.9433  0.6987  0.4106

Values from the calculation:
Its total moment is 0.0 Bohr magnetons per cell. For the distance to the lowest polymorph of the same formula, the calculation gives 0.0 meV/atom. The crystal system is triclinic.

=====

# 2
The following is a DFT calculation (GGA-PBE) of a geometry-optimized CaH12Br2O6 structure.

abc: 8.1493 8.1493 4.0754
angles: 90.00 90.00 120.00
Positions (direct):
Ca  0.0000  0.0000  0.0000
H  0.0988  0.4227  0.0906
H  0.1101  0.7746  0.5177
H  0.2254  0.3355  0.5177
H  0.3238  0.9012  0.0906
H  0.3355  0.2254  0.4823
H  0.4227  0.0988  0.9094
H  0.5773  0.6762  0.0906
H  0.6645  0.8899  0.5177
H  0.6762  0.5773  0.9094
H  0.7746  0.1101  0.4823
H  0.8899  0.6645  0.4823
H  0.9012  0.3238  0.9094
Br  0.3333  0.6667  0.4104
Br  0.6667  0.3333  0.5896
O  0.0000  0.3006  0.0000
O  0.0000  0.7937  0.5000
O  0.2063  0.2063  0.5000
O  0.3006  0.0000  0.0000
O  0.6994  0.6994  0.0000
O  0.7937  0.0000  0.5000

Values from the calculation:
Its total moment is 0.0 Bohr magnetons per cell. The total DFT energy (no corrections) comes out at -4.79 eV per atom. The crystal system is trigonal.

=====

# 3
The following is a DFT calculation (GGA-PBE) of a geometry-optimized CaH18Br2O9 structure.

abc: 7.9306 8.8508 18.7707
angles: 90.00 103.96 90.00
Positions (direct):
Ca  0.1881  0.2393  0.1020
Ca  0.1881  0.2607  0.6020
Ca  0.8119  0.7393  0.3980
Ca  0.8119  0.7607  0.8980
H  0.0309  0.6591  0.7935
H  0.0310  0.6661  0.0488
H  0.0310  0.8339  0.5488
H  0.0309  0.8409  0.2935
H  0.0627  0.0062  0.6927
H  0.0627  0.4938  0.1927
H  0.1234  0.2354  0.9339
H  0.1234  0.2646  0.4339
H  0.1421  0.5978  0.5669
H  0.1421  0.9022  0.0669
H  0.1579  0.5979  0.3743
H  0.1579  0.9021  0.8743
H  0.1638  0.5771  0.4582
H  0.1638  0.9229  0.9582
H  0.1910  0.5707  0.8963
H  0.1910  0.9293  0.3963
H  0.2277  0.5136  0.7203
H  0.2277  0.9864  0.2203
H  0.2422  0.5306  0.0155
H  0.2422  0.9694  0.5155
H  0.2853  0.5601  0.1016
H  0.2853  0.9399  0.6016
H  0.2880  0.1394  0.2632
H  0.2880  0.3606  0.7632
H  0.3363  0.0542  0.4169
H  0.3363  0.4458  0.9169
H  0.3450  0.5678  0.5816
H  0.3450  0.9322  0.0816
H  0.3872  0.0698  0.7352
H  0.3872  0.4302  0.2352
H  0.4379  0.2014  0.0080
H  0.4379  0.2986  0.5080
H  0.4593  0.6876  0.9325
H  0.4593  0.8124  0.4325
H  0.4779  0.6764  0.7877
H  0.4779  0.8236  0.2877
H  0.5221  0.1764  0.7123
H  0.5221  0.3236  0.2123
H  0.5407  0.1876  0.5675
H  0.5407  0.3124  0.0675
H  0.5621  0.7014  0.4920
H  0.5621  0.7986  0.9920
H  0.6128  0.5698  0.7648
H  0.6128  0.9302  0.2648
H  0.6550  0.0678  0.9184
H  0.6550  0.4322  0.4184
H  0.6637  0.5542  0.0831
H  0.6637  0.9458  0.5831
H  0.7120  0.6394  0.2368
H  0.7120  0.8606  0.7368
H  0.7147  0.0601  0.3984
H  0.7147  0.4399  0.8984
H  0.7578  0.0306  0.4845
H  0.7578  0.4694  0.9845
H  0.7723  0.0136  0.7797
H  0.7723  0.4864  0.2797
H  0.8090  0.0707  0.6037
H  0.8090  0.4293  0.1037
H  0.8362  0.0771  0.0418
H  0.8362  0.4229  0.5418
H  0.8421  0.0979  0.1257
H  0.8421  0.4021  0.6257
H  0.8579  0.0978  0.9331
H  0.8579  0.4022  0.4331
H  0.8766  0.7354  0.5661
H  0.8766  0.7646  0.0661
H  0.9373  0.5062  0.8073
H  0.9373  0.9938  0.3073
H  0.9691  0.1591  0.7065
H  0.9690  0.1661  0.4512
H  0.9690  0.3339  0.9512
H  0.9691  0.3409  0.2065
Br  0.2067  0.7163  0.2335
Br  0.2067  0.7837  0.7335
Br  0.3737  0.2025  0.8777
Br  0.3737  0.2975  0.3777
Br  0.6263  0.7025  0.6223
Br  0.6263  0.7975  0.1223
Br  0.7933  0.2163  0.2665
Br  0.7933  0.2837  0.7665
O  0.0118  0.1017  0.6690
O  0.0118  0.3983  0.1690
O  0.0425  0.2426  0.9663
O  0.0425  0.2574  0.4663
O  0.0967  0.6225  0.4122
O  0.0967  0.8775  0.9122
O  0.1947  0.5219  0.0603
O  0.1947  0.9781  0.5603
O  0.2298  0.5243  0.5591
O  0.2298  0.9757  0.0591
O  0.2408  0.0959  0.2143
O  0.2408  0.4041  0.7143
O  0.3007  0.5451  0.9331
O  0.3007  0.9549  0.4331
O  0.4150  0.1176  0.6924
O  0.4150  0.3824  0.1924
O  0.4510  0.2318  0.0595
O  0.4510  0.2682  0.5595
O  0.5490  0.7318  0.4405
O  0.5490  0.7682  0.9405
O  0.5850  0.6176  0.8076
O  0.5850  0.8824  0.3076
O  0.6993  0.0451  0.5669
O  0.6993  0.4549  0.0669
O  0.7592  0.5959  0.2857
O  0.7592  0.9041  0.7857
O  0.7702  0.0243  0.9409
O  0.7702  0.4757  0.4409
O  0.8053  0.0219  0.4397
O  0.8053  0.4781  0.9397
O  0.9033  0.1225  0.0878
O  0.9033  0.3775  0.5878
O  0.9575  0.7426  0.5337
O  0.9575  0.7574  0.0337
O  0.9882  0.6017  0.8310
O  0.9882  0.8983  0.3310

Values from the calculation:
Its total moment is 0.0 Bohr magnetons per cell. The total DFT energy (no corrections) comes out at -4.84 eV per atom. The crystal system is monoclinic.

=====

# 4
The following is a DFT calculation (GGA-PBE) of a geometry-optimized CaH8Br2O12 structure.

abc: 5.6944 9.7029 14.5356
angles: 107.46 97.08 100.47
Positions (direct):
Ca  0.2411  0.0556  0.3108
Ca  0.7589  0.9444  0.6892
H  0.0439  0.2370  0.7002
H  0.0871  0.2731  0.4546
H  0.1558  0.2678  0.0498
H  0.1586  0.7960  0.6198
H  0.1666  0.4442  0.2534
H  0.2258  0.3990  0.3452
H  0.3414  0.4246  0.0983
H  0.4335  0.5348  0.7680
H  0.5665  0.4652  0.2320
H  0.6586  0.5754  0.9017
H  0.7742  0.6010  0.6548
H  0.8334  0.5558  0.7466
H  0.8414  0.2040  0.3802
H  0.8442  0.7322  0.9502
H  0.9129  0.7269  0.5454
H  0.9561  0.7630  0.2998
Br  0.1332  0.5549  0.8770
Br  0.2710  0.8269  0.4677
Br  0.7290  0.1731  0.5323
Br  0.8668  0.4451  0.1230
O  0.0342  0.2339  0.3830
O  0.1055  0.8399  0.3260
O  0.1155  0.0884  0.1564
O  0.1242  0.9671  0.8855
O  0.1836  0.3706  0.0503
O  0.1888  0.9388  0.9652
O  0.3040  0.4353  0.2977
O  0.3941  0.8280  0.5966
O  0.4002  0.4903  0.8193
O  0.4133  0.5200  0.5173
O  0.4249  0.7625  0.1168
O  0.4594  0.8865  0.1795
O  0.5406  0.1135  0.8205
O  0.5751  0.2375  0.8832
O  0.5867  0.4800  0.4827
O  0.5998  0.5097  0.1807
O  0.6059  0.1720  0.4034
O  0.6960  0.5647  0.7023
O  0.8112  0.0612  0.0348
O  0.8164  0.6294  0.9497
O  0.8758  0.0329  0.1145
O  0.8845  0.9116  0.8436
O  0.8945  0.1601  0.6740
O  0.9658  0.7661  0.6170

Values from the calculation:
Its total moment is 6.0 Bohr magnetons per cell. For the distance to the lowest polymorph of the same formula, the calculation gives 38.3 meV/atom. The crystal system is triclinic.

=====

# 5
The following is a DFT calculation (GGA-PBE) of a geometry-optimized CaZn2H12Br6O6 structure.

abc: 8.6498 8.6498 14.1167
angles: 106.37 106.37 79.01
Positions (direct):
Ca  0.0707  0.0707  0.2232
Ca  0.9293  0.9293  0.7768
Zn  0.2775  0.2775  0.6604
Zn  0.4578  0.4578  0.1871
Zn  0.5422  0.5422  0.8129
Zn  0.7225  0.7225  0.3396
H  0.0080  0.6461  0.8793
H  0.0584  0.7277  0.5960
H  0.0916  0.2340  0.8990
H  0.1446  0.8212  0.3493
H  0.1739  0.7045  0.8864
H  0.1788  0.8554  0.6507
H  0.2313  0.3745  0.3479
H  0.2340  0.0916  0.8990
H  0.2723  0.9416  0.4040
H  0.2955  0.8261  0.1136
H  0.3539  0.9920  0.1207
H  0.3745  0.2313  0.3479
H  0.6255  0.7687  0.6521
H  0.6461  0.0080  0.8793
H  0.7045  0.1739  0.8864
H  0.7277  0.0584  0.5960
H  0.7660  0.9084  0.1010
H  0.7687  0.6255  0.6521
H  0.8212  0.1446  0.3493
H  0.8261  0.2955  0.1136
H  0.8554  0.1788  0.6507
H  0.9084  0.7660  0.1010
H  0.9416  0.2723  0.4040
H  0.9920  0.3539  0.1207
Br  0.0075  0.6434  0.3980
Br  0.1782  0.5403  0.1187
Br  0.3566  0.9925  0.6020
Br  0.3710  0.3710  0.8503
Br  0.4465  0.4465  0.6242
Br  0.4597  0.8218  0.8813
Br  0.5403  0.1782  0.1187
Br  0.5535  0.5535  0.3758
Br  0.6290  0.6290  0.1497
Br  0.6434  0.0075  0.3980
Br  0.8218  0.4597  0.8813
Br  0.9925  0.3566  0.6020
O  0.0572  0.7377  0.8763
O  0.0946  0.8042  0.6613
O  0.1160  0.1160  0.8803
O  0.1958  0.9054  0.3387
O  0.2571  0.2571  0.3252
O  0.2623  0.9428  0.1237
O  0.7377  0.0572  0.8763
O  0.7429  0.7429  0.6748
O  0.8042  0.0946  0.6613
O  0.8840  0.8840  0.1197
O  0.9054  0.1958  0.3387
O  0.9428  0.2623  0.1237

Values from the calculation:
Its total moment is 0.0 Bohr magnetons per cell. The total DFT energy (no corrections) comes out at -4.26 eV per atom. The crystal system is monoclinic.

=====

# 6
The following is a DFT calculation (GGA-PBE) of a geometry-optimized CaZnH10Br4O5 structure.

abc: 8.4326 9.6790 10.7718
angles: 76.10 80.58 72.00
Positions (direct):
Ca  0.0705  0.1217  0.2448
Ca  0.9295  0.8783  0.7552
Zn  0.4385  0.0305  0.1787
Zn  0.5615  0.9695  0.8213
H  0.0815  0.6581  0.5630
H  0.1457  0.8000  0.5197
H  0.1534  0.3421  0.6603
H  0.2069  0.5775  0.9920
H  0.2076  0.9910  0.6288
H  0.2258  0.0066  0.7738
H  0.2708  0.8786  0.1194
H  0.2936  0.0276  0.9388
H  0.3266  0.2948  0.2111
H  0.4008  0.6006  0.7109
H  0.5992  0.3994  0.2891
H  0.6734  0.7052  0.7889
H  0.7064  0.9724  0.0612
H  0.7292  0.1214  0.8806
H  0.7742  0.9934  0.2262
H  0.7924  0.0090  0.3712
H  0.7931  0.4225  0.0080
H  0.8466  0.6579  0.3397
H  0.8543  0.2000  0.4803
H  0.9185  0.3419  0.4370
Br  0.0625  0.6880  0.0350
Br  0.2349  0.4032  0.5417
Br  0.3293  0.9192  0.4186
Br  0.4776  0.4948  0.8173
Br  0.5224  0.5052  0.1827
Br  0.6707  0.0808  0.5814
Br  0.7651  0.5968  0.4583
Br  0.9375  0.3120  0.9650
O  0.0677  0.7544  0.5840
O  0.1502  0.9804  0.7161
O  0.2581  0.9844  0.1069
O  0.2830  0.2298  0.1790
O  0.3278  0.0464  0.8446
O  0.6722  0.9536  0.1554
O  0.7170  0.7702  0.8210
O  0.7419  0.0156  0.8931
O  0.8498  0.0196  0.2839
O  0.9323  0.2456  0.4160

Values from the calculation:
Its total moment is 0.0 Bohr magnetons per cell. The total DFT energy (no corrections) comes out at -4.22 eV per atom. The crystal system is triclinic.

=====

# 7
The following is a DFT calculation (GGA-PBE) of a geometry-optimized KCaBr3 structure.

abc: 5.7216 5.7216 5.7163
angles: 90.10 90.10 89.89
Positions (direct):
K  0.0000  0.0000  0.0000
Ca  0.4973  0.4973  0.5170
Br  0.0002  0.4980  0.5152
Br  0.4980  0.0002  0.5152
Br  0.5104  0.5104  0.0162

Values from the calculation:
Its total moment is 0.0 Bohr magnetons per cell. The total DFT energy (no corrections) comes out at -3.50 eV per atom. The crystal system is monoclinic.

=====

# 8
The following is a DFT calculation (GGA-PBE) of a geometry-optimized KCaBr3 structure.

abc: 7.5273 7.5273 10.8570
angles: 90.00 90.00 146.73
Positions (direct):
K  0.2439  0.7561  0.7500
K  0.7561  0.2439  0.2500
Ca  0.5000  0.5000  0.0000
Ca  0.5000  0.5000  0.5000
Br  0.1318  0.8682  0.0554
Br  0.1318  0.8682  0.4446
Br  0.4293  0.5707  0.2500
Br  0.5707  0.4293  0.7500
Br  0.8682  0.1318  0.5554
Br  0.8682  0.1318  0.9446

Values from the calculation:
The total DFT energy (no corrections) comes out at -3.56 eV per atom. The crystal system is orthorhombic.

=====

The density results, record by record, are as follows: 2.39, 2.18, 1.88, 1.80, 2.61, 2.12, 2.83, 3.14 g/cm3.